Entry 1:
12
Lattice="1.672 -2.895 0.000 1.672 2.895 0.000 0.000 0.000 38.136" Properties=species:S:1:pos:R:3 comment="PBE-GGA TeW2Se2S, relaxed" energy_mp2020_ev_per_cell=-86.91 final_energy_ev_per_atom=-7.16 delta_e_f_ev_per_fu=-3.3 rho_g_cm3=6.165 pbc="T T T"
W 1.672 0.965 3.581
W 1.672 -0.965 25.078
W 1.672 0.965 17.910
W 1.672 -0.965 10.747
Te 1.672 0.965 26.985
Te 1.672 0.965 23.170
Se 1.672 -0.965 1.906
Se 1.672 -0.965 5.257
Se 1.672 -0.965 16.234
Se 1.672 -0.965 19.586
S 1.672 0.965 9.224
S 1.672 0.965 12.269

---

Entry 2:
12
Lattice="1.672 -2.895 0.000 1.672 2.895 0.000 0.000 0.000 41.076" Properties=species:S:1:pos:R:3 comment="PBE-GGA TeW2Se2S, relaxed" energy_mp2020_ev_per_cell=-86.92 final_energy_ev_per_atom=-7.16 delta_e_f_ev_per_fu=-3.3 rho_g_cm3=5.723 pbc="T T T"
S 1.672 -0.965 5.371
S 1.672 -0.965 2.327
Se 1.672 0.965 13.195
Se 1.672 0.965 25.400
Se 1.672 0.965 9.847
Se 1.672 0.965 28.747
W 1.672 -0.965 27.072
W 1.672 0.965 19.291
W 1.672 0.965 3.849
W 1.672 -0.965 11.519
Te 1.672 -0.965 21.200
Te 1.672 -0.965 17.384

---

Entry 3:
12
Lattice="1.653 -2.864 0.000 1.653 2.864 0.000 0.000 0.000 37.725" Properties=species:S:1:pos:R:3 comment="PBE-GGA TeW2SeS2, relaxed" energy_mp2020_ev_per_cell=-89.81 final_energy_ev_per_atom=-7.32 delta_e_f_ev_per_fu=-4.1 rho_g_cm3=5.934 pbc="T T T"
Te 1.653 0.955 15.797
Te 1.653 0.955 19.641
W 1.653 0.955 24.806
W 0.000 0.000 17.718
W 0.000 0.000 3.544
W 1.653 0.955 10.629
S 0.000 0.000 23.271
S 1.653 0.955 5.078
S 0.000 0.000 26.341
S 1.653 0.955 2.009
Se 0.000 0.000 8.942
Se 0.000 0.000 12.316

---

Entry 4:
12
Lattice="1.653 -2.863 0.000 1.653 2.863 0.000 0.000 0.000 39.078" Properties=species:S:1:pos:R:3 comment="PBE-GGA TeW2SeS2, relaxed" energy_mp2020_ev_per_cell=-89.83 final_energy_ev_per_atom=-7.32 delta_e_f_ev_per_fu=-4.1 rho_g_cm3=5.730 pbc="T T T"
Te 1.653 -0.954 20.245
Te 1.653 -0.954 16.399
S 1.653 -0.954 2.137
S 1.653 0.954 12.519
S 1.653 -0.954 5.203
S 1.653 0.954 9.453
W 1.653 -0.954 25.752
W 1.653 0.954 3.670
W 1.653 0.954 18.322
W 1.653 -0.954 10.986
Se 1.653 0.954 27.440
Se 1.653 0.954 24.064

---

Entry 5:
12
Lattice="1.653 -2.864 0.000 1.653 2.864 0.000 0.000 0.000 37.680" Properties=species:S:1:pos:R:3 comment="PBE-GGA TeW2SeS2, relaxed" energy_mp2020_ev_per_cell=-89.82 final_energy_ev_per_atom=-7.32 delta_e_f_ev_per_fu=-4.1 rho_g_cm3=5.942 pbc="T T T"
Se 1.653 0.955 23.089
Se 1.653 0.955 26.462
S 1.653 -0.955 5.072
S 1.653 -0.955 19.231
S 1.653 -0.955 16.164
S 1.653 -0.955 2.005
Te 1.653 0.955 12.540
Te 1.653 0.955 8.697
W 1.653 0.955 3.538
W 1.653 -0.955 24.776
W 1.653 -0.955 10.618
W 1.653 0.955 17.698

---

Entry 6:
9
Lattice="1.674 -2.900 0.000 1.674 2.900 0.000 0.000 0.000 31.023" Properties=species:S:1:pos:R:3 comment="PBE-GGA Te2W3Se2S2, relaxed" energy_mp2020_ev_per_cell=-65.29 final_energy_ev_per_atom=-7.14 delta_e_f_ev_per_fu=-4.9 rho_g_cm3=5.672 pbc="T T T"
S 1.674 0.967 5.109
S 1.674 0.967 2.067
Se 0.000 0.000 12.434
Se 0.000 0.000 9.092
W 1.674 0.967 10.763
W 0.000 0.000 17.943
W 0.000 0.000 3.588
Te 1.674 0.967 19.846
Te 1.674 0.967 16.038

---

Entry 7:
12
Lattice="1.653 -2.863 0.000 1.653 2.863 0.000 0.000 0.000 37.629" Properties=species:S:1:pos:R:3 comment="PBE-GGA TeW2SeS2, relaxed" energy_mp2020_ev_per_cell=-89.83 final_energy_ev_per_atom=-7.32 delta_e_f_ev_per_fu=-4.1 rho_g_cm3=5.951 pbc="T T T"
Te 1.653 0.954 22.821
Te 1.653 0.954 26.665
W 1.653 -0.954 10.604
W 1.653 0.954 17.672
W 1.653 0.954 3.535
W 1.653 -0.954 24.743
S 1.653 0.954 9.070
S 1.653 0.954 12.137
S 1.653 -0.954 19.206
S 1.653 -0.954 16.139
Se 1.653 -0.954 1.848
Se 1.653 -0.954 5.221

---

Entry 8:
12
Lattice="1.671 -2.895 0.000 1.671 2.895 0.000 0.000 0.000 38.192" Properties=species:S:1:pos:R:3 comment="PBE-GGA TeW2Se2S, relaxed" energy_mp2020_ev_per_cell=-86.91 final_energy_ev_per_atom=-7.16 delta_e_f_ev_per_fu=-3.3 rho_g_cm3=6.157 pbc="T T T"
Se 1.671 0.965 5.264
Se 0.000 0.000 23.438
Se 1.671 0.965 1.909
Se 0.000 0.000 26.792
Te 1.671 0.965 16.028
Te 1.671 0.965 19.844
S 0.000 0.000 9.240
S 0.000 0.000 12.283
W 1.671 0.965 10.761
W 0.000 0.000 17.936
W 0.000 0.000 3.586
W 1.671 0.965 25.115

---

Entry 9:
12
Lattice="1.671 -2.894 0.000 1.671 2.894 0.000 0.000 0.000 38.126" Properties=species:S:1:pos:R:3 comment="PBE-GGA TeW2Se2S, relaxed" energy_mp2020_ev_per_cell=-86.91 final_energy_ev_per_atom=-7.16 delta_e_f_ev_per_fu=-3.3 rho_g_cm3=6.171 pbc="T T T"
Se 1.671 0.965 12.417
Se 1.671 -0.965 19.579
Se 1.671 0.965 9.070
Se 1.671 -0.965 16.232
S 1.671 -0.965 5.104
S 1.671 -0.965 2.058
Te 1.671 0.965 26.977
Te 1.671 0.965 23.164
W 1.671 -0.965 10.744
W 1.671 0.965 3.581
W 1.671 0.965 17.905
W 1.671 -0.965 25.071

---

Entry 10:
12
Lattice="1.653 -2.863 0.000 1.653 2.863 0.000 0.000 0.000 37.668" Properties=species:S:1:pos:R:3 comment="PBE-GGA TeW2SeS2, relaxed" energy_mp2020_ev_per_cell=-89.83 final_energy_ev_per_atom=-7.32 delta_e_f_ev_per_fu=-4.1 rho_g_cm3=5.945 pbc="T T T"
W 1.653 -0.954 10.615
W 1.653 0.954 3.538
W 1.653 -0.954 24.769
W 1.653 0.954 17.690
S 1.653 -0.954 5.071
S 1.653 -0.954 16.157
S 1.653 -0.954 2.005
S 1.653 -0.954 19.224
Se 1.653 0.954 8.929
Se 1.653 0.954 12.300
Te 1.653 0.954 26.690
Te 1.653 0.954 22.846

---

Entry 11:
9
Lattice="-1.624 2.913 -0.297 -1.346 -2.492 1.786 14.253 10.544 25.452" Properties=species:S:1:pos:R:3 comment="PBE-GGA Te2W3Se2S2, relaxed" energy_mp2020_ev_per_cell=-65.30 final_energy_ev_per_atom=-7.14 delta_e_f_ev_per_fu=-4.9 rho_g_cm3=5.673 pbc="T T T"
W 8.243 6.098 14.720
W 3.507 2.968 9.923
W 1.648 1.219 2.944
Se 0.978 1.097 5.406
Se -0.558 -0.039 2.663
Te 7.679 6.054 17.373
Te 5.929 4.760 14.248
S 5.644 4.175 10.079
S 4.246 3.141 7.583

---

Entry 12:
12
Lattice="1.671 -2.894 0.000 1.671 2.894 0.000 0.000 0.000 38.145" Properties=species:S:1:pos:R:3 comment="PBE-GGA TeW2Se2S, relaxed" energy_mp2020_ev_per_cell=-86.91 final_energy_ev_per_atom=-7.16 delta_e_f_ev_per_fu=-3.3 rho_g_cm3=6.168 pbc="T T T"
S 1.671 -0.965 2.059
S 1.671 -0.965 5.106
Te 1.671 0.965 8.841
Te 1.671 0.965 12.656
Se 1.671 0.965 23.408
Se 1.671 -0.965 19.591
Se 1.671 -0.965 16.242
Se 1.671 0.965 26.756
W 1.671 0.965 17.917
W 1.671 0.965 3.582
W 1.671 -0.965 10.748
W 1.671 -0.965 25.082

---

Entry 13:
9
Lattice="2.369 0.692 2.431 -3.063 -1.347 0.899 6.930 -17.026 -1.908" Properties=species:S:1:pos:R:3 comment="PBE-GGA Ti3Se2S4, relaxed" energy_mp2020_ev_per_cell=-60.22 final_energy_ev_per_atom=-6.47 delta_e_f_ev_per_fu=-13.0 rho_g_cm3=3.715 pbc="T T T"
S 0.527 -5.039 0.920
S 2.833 -6.961 -0.780
S 5.162 -12.683 -1.421
S 0.547 -1.343 -0.151
Se 2.789 -10.596 0.297
Se 5.104 -16.284 -0.340
Ti 0.599 -0.088 1.909
Ti 2.865 -5.655 1.286
Ti 5.213 -11.423 0.639

---

Entry 14:
4
Lattice="3.955 0.000 0.000 0.000 3.955 0.000 0.000 0.000 5.599" Properties=species:S:1:pos:R:3 comment="PBE-GGA U2SeS, relaxed" energy_mp2020_ev_per_cell=-35.29 final_energy_ev_per_atom=-8.70 delta_e_f_ev_per_fu=-5.1 rho_g_cm3=11.130 pbc="T T T"
U 0.000 0.000 2.800
U 1.978 1.978 0.000
S 0.000 0.000 0.000
Se 1.978 1.978 2.800

---

Entry 15:
9
Lattice="-1.637 -2.836 0.000 -1.637 2.836 0.000 0.000 0.000 -30.255" Properties=species:S:1:pos:R:3 comment="PBE-GGA W3Se4S2, relaxed" energy_mp2020_ev_per_cell=-67.82 final_energy_ev_per_atom=-7.42 delta_e_f_ev_per_fu=-6.7 rho_g_cm3=5.504 pbc="T T T"
S 0.000 0.000 -28.711
S 0.000 0.000 -1.544
Se -1.637 0.945 -5.299
Se -1.637 0.945 -21.555
Se -1.637 0.945 -8.700
Se -1.637 0.945 -24.956
W 0.000 0.000 -6.999
W -1.637 0.945 0.000
W 0.000 0.000 -23.256

---

Entry 16:
9
Lattice="2.283 2.249 0.674 -2.466 0.727 -2.029 -16.467 9.677 23.481" Properties=species:S:1:pos:R:3 comment="PBE-GGA W3Se4S2, relaxed" energy_mp2020_ev_per_cell=-67.82 final_energy_ev_per_atom=-7.42 delta_e_f_ev_per_fu=-6.7 rho_g_cm3=5.501 pbc="T T T"
W -6.597 4.592 7.019
W -1.904 1.119 2.715
W -9.524 5.596 13.580
Se -11.332 7.374 13.771
Se -9.481 6.287 11.132
Se -6.639 3.901 9.466
Se -4.789 2.814 6.828
S -3.628 2.847 2.786
S -1.947 1.860 0.389

---

Entry 17:
10
Lattice="11.337 -3.988 7.233 7.437 -7.124 9.524 -8.895 3.586 -10.236" Properties=species:S:1:pos:R:3 comment="PBE-GGA Zn5SeS4, relaxed" energy_mp2020_ev_per_cell=-36.12 final_energy_ev_per_atom=-3.41 delta_e_f_ev_per_fu=-9.8 rho_g_cm3=4.258 pbc="T T T"
S 7.724 -6.772 7.188
S 0.205 -2.322 0.477
S 7.828 -4.111 4.395
S 4.002 -1.846 0.980
Zn 16.912 -10.009 15.094
Zn 13.077 -7.739 11.671
Zn 1.862 -1.102 1.662
Zn 9.387 -5.556 8.378
Zn 5.698 -3.372 5.085
Se 3.965 -4.547 3.833

---

Entry 18:
4
Lattice="0.368 1.897 -6.577 -3.113 0.074 -6.107 -2.690 3.849 -4.995" Properties=species:S:1:pos:R:3 comment="PBE-GGA Zn2SeS, relaxed" energy_mp2020_ev_per_cell=-13.65 final_energy_ev_per_atom=-3.29 e_above_lowest_polymorph_mev_per_atom=3.3 delta_e_f_ev_per_fu=-3.5 rho_g_cm3=4.579 pbc="T T T"
Zn -0.020 0.022 -0.066
Zn -2.698 2.889 -8.775
Se -3.395 3.636 -11.044
S -0.681 0.729 -2.214

---

Entry 19:
4
Lattice="3.959 0.000 0.000 0.000 3.959 0.000 0.000 0.000 5.591" Properties=species:S:1:pos:R:3 comment="PBE-GGA Zn2SeS, relaxed" energy_mp2020_ev_per_cell=-13.67 final_energy_ev_per_atom=-3.29 e_above_lowest_polymorph_mev_per_atom=0.0 delta_e_f_ev_per_fu=-3.5 rho_g_cm3=4.583 pbc="T T T"
Se 0.000 0.000 2.795
Zn 0.000 1.979 1.325
Zn 1.979 0.000 4.266
S 1.979 1.979 0.000

---

Entry 20:
36
Lattice="7.628 0.000 0.000 0.000 7.445 0.000 0.000 3.109 14.775" Properties=species:S:1:pos:R:3 comment="PBE-GGA SiS2, relaxed" energy_mp2020_ev_per_cell=-199.19 final_energy_ev_per_atom=-5.20 delta_e_f_ev_per_fu=-2.9 rho_g_cm3=2.190 pbc="T T T"
S 6.785 2.469 8.816
S 6.714 2.506 3.944
S 2.899 6.494 3.444
S 0.871 4.573 1.077
S 2.943 6.128 8.464
S 0.844 8.085 5.959
S 4.864 4.673 1.248
S 4.890 7.866 11.082
S 2.812 2.457 8.550
S 6.758 5.982 13.698
S 4.729 4.061 11.331
S 6.626 9.653 13.613
S 4.658 0.915 1.429
S 1.076 4.243 11.080
S 1.050 4.327 6.140
S 2.765 5.881 13.527
S 4.816 8.098 6.225
S 6.579 6.228 8.635
S 2.970 9.640 13.346
S 0.915 8.048 10.831
S 6.553 6.311 3.695
S 1.002 0.902 1.162
S 2.738 2.688 3.693
S 4.685 4.427 6.311
Si 6.571 8.065 4.962
Si 2.826 4.079 12.327
Si 4.872 9.620 12.349
Si 6.635 4.728 0.010
Si 0.989 2.524 4.940
Si 1.057 2.489 9.813
Si 4.808 6.283 7.398
Si 2.757 0.935 2.426
Si 0.994 5.827 14.765
Si 2.820 4.272 7.377
Si 4.803 6.476 2.448
Si 6.640 8.030 9.835

---

Entry 21:
12
Lattice="8.080 0.000 0.000 0.000 5.943 0.000 0.000 1.786 6.473" Properties=species:S:1:pos:R:3 comment="PBE-GGA SiS2, relaxed" energy_mp2020_ev_per_cell=-66.67 final_energy_ev_per_atom=-5.22 delta_e_f_ev_per_fu=-3.0 rho_g_cm3=1.971 pbc="T T T"
S 1.228 4.222 4.905
S 7.260 1.477 5.096
S 3.220 3.280 1.377
S 4.860 4.449 5.096
S 6.852 3.507 1.567
S 0.820 6.252 1.377
S 2.812 7.193 4.905
S 5.268 0.536 1.567
Si 6.988 5.498 0.745
Si 1.092 2.231 5.727
Si 2.948 5.202 5.727
Si 5.132 2.527 0.745